<one>
VASP calculation (PBE-GGA) on a geometry-optimized MgZn2Cu4O8 structure.

```
MgZn2Cu4O8
1.0
5.991 0.000 0.000
-2.684 5.361 0.000
-0.415 -3.106 5.118
Mg Zn Cu O
1 2 4 8
Cartesian
0.000 0.000 0.000 Mg
-0.801 -0.080 2.901 Zn
1.459 2.497 0.646 Zn
2.539 -1.840 3.203 Cu
2.820 -0.265 0.604 Cu
1.667 0.922 3.081 Cu
4.362 2.413 0.710 Cu
-0.277 1.313 1.501 O
-0.629 0.245 4.864 O
1.170 -0.803 2.411 O
1.339 -2.432 4.506 O
1.119 4.179 1.946 O
1.317 2.562 3.938 O
2.995 1.371 1.573 O
2.629 0.313 4.884 O
```

Properties
V = 10.96 Å³ per atom
space group = P1, No. 1

<two>
VASP calculation (PBE-GGA) on a geometry-optimized MgZn2Cu4O8 structure.

```
MgZn2Cu4O8
1.0
5.881 0.000 0.000
2.938 5.096 0.000
2.938 1.680 5.235
Mg Zn Cu O
1 2 4 8
Cartesian
0.000 0.000 0.000 Mg
5.893 3.414 2.615 Zn
8.836 5.121 2.462 Zn
1.482 2.553 0.018 Cu
2.971 1.750 2.786 Cu
2.946 0.020 0.022 Cu
4.407 2.553 0.014 Cu
4.406 2.539 4.014 O
5.883 5.083 4.018 O
4.410 4.257 1.260 O
2.943 1.704 0.942 O
8.826 5.096 4.346 O
7.357 2.542 4.015 O
5.885 1.707 1.256 O
7.363 4.259 1.264 O
```

Properties
V = 10.46 Å³ per atom
space group = P1, No. 1

Which of them is the most stable? Correct choice: <one>.

<one>
VASP calculation (PBE-GGA) on a geometry-optimized Rb4MgV2Cu2S8 structure.

```
Rb4MgV2Cu2S8
1.0
5.615 0.000 0.000
2.641 6.925 0.000
2.648 -0.659 12.111
Rb Mg V Cu S
4 1 2 2 8
Cartesian
0.000 0.000 0.000 Rb
3.894 3.625 8.895 Rb
2.774 0.039 3.129 Rb
6.858 3.453 5.442 Rb
5.345 0.392 9.985 Mg
2.793 0.013 7.312 V
6.823 3.559 1.206 V
4.058 3.600 1.178 Cu
5.609 0.019 7.179 Cu
2.546 4.758 2.479 S
4.145 5.616 6.093 S
5.206 1.561 12.052 S
4.080 1.330 6.097 S
6.775 5.691 8.719 S
8.204 4.275 12.096 S
5.515 2.287 2.426 S
7.065 1.324 8.624 S
```

Properties
V = 27.70 Å³ per atom
space group = P1, No. 1

<two>
VASP calculation (PBE-GGA) on a geometry-optimized Rb4MgV2Cu2S8 structure.

```
Rb4MgV2Cu2S8
1.0
2.842 -11.824 0.000
2.842 11.824 0.000
-2.727 0.000 6.680
Rb Mg V Cu S
4 1 2 2 8
Cartesian
0.000 0.000 0.000 Rb
1.479 6.044 3.340 Rb
2.842 -3.350 0.000 Rb
1.479 -8.789 3.340 Rb
1.479 1.327 3.340 Mg
1.479 10.218 3.340 V
2.842 -7.624 0.000 V
2.842 4.167 0.000 Cu
1.479 -1.657 3.340 Cu
1.313 2.928 1.377 S
-0.060 -2.827 2.063 S
-0.016 -0.206 4.530 S
1.645 2.928 5.303 S
1.493 -6.362 1.181 S
2.973 -0.206 2.150 S
1.465 -6.362 5.499 S
3.017 -2.827 4.616 S
```

Properties
V = 26.41 Å³ per atom
space group = C2, No. 5

Which of them is the most stable? Correct choice: <two>.